Tm3Ge3Ru2: relaxed, r²SCAN.

Results
Total DFT energy (no corrections)   -409.51 eV/cell
SG   No. 63
Magnetization   0.00 μB per atom
Mass density   9.99 g/cm³

Unit cell a=5.7292 b=5.7292 c=13.7291 alpha=90.00 beta=90.00 gamma=136.84
Atoms (fractional coordinates):
1 Tm 0.0785 0.9215 0.6127
2 Tm 0.0785 0.9215 0.8873
3 Tm 0.3520 0.6480 0.7500
4 Tm 0.6480 0.3520 0.2500
5 Tm 0.9215 0.0785 0.1127
6 Tm 0.9215 0.0785 0.3873
7 Ge 0.3382 0.6618 0.2500
8 Ge 0.3848 0.6152 0.5407
9 Ge 0.3848 0.6152 0.9593
10 Ge 0.6152 0.3848 0.0407
11 Ge 0.6152 0.3848 0.4593
12 Ge 0.6618 0.3382 0.7500
13 Ru 0.2129 0.7871 0.0826
14 Ru 0.2129 0.7871 0.4174
15 Ru 0.7871 0.2129 0.5826
16 Ru 0.7871 0.2129 0.9174



VF5: relaxed, r²SCAN.

Results
Total DFT energy (no corrections)   -186.92 eV/cell
SG   No. 14
Magnetization   0.00 μB per atom
Mass density   3.09 g/cm³

Unit cell a=6.1470 b=8.0889 c=8.7715 alpha=90.00 beta=134.09 gamma=90.00
Atoms (fractional coordinates):
1 V 0.2133 0.1475 0.1599
2 V 0.2133 0.3525 0.6599
3 V 0.7867 0.6475 0.3401
4 V 0.7867 0.8525 0.8401
5 F 0.0037 0.1260 0.2251
6 F 0.0037 0.3740 0.7251
7 F 0.1693 0.6028 0.6279
8 F 0.1693 0.8972 0.1279
9 F 0.1795 0.1428 0.6331
10 F 0.1795 0.3572 0.1331
11 F 0.3706 0.1242 0.0553
12 F 0.3706 0.3758 0.5553
13 F 0.4455 0.6207 0.0833
14 F 0.4455 0.8793 0.5833
15 F 0.5545 0.1207 0.4167
16 F 0.5545 0.3793 0.9167
17 F 0.6294 0.6242 0.4447
18 F 0.6294 0.8758 0.9447
19 F 0.8205 0.6428 0.8669
20 F 0.8205 0.8572 0.3669
21 F 0.8307 0.1028 0.8721
22 F 0.8307 0.3972 0.3721
23 F 0.9963 0.6260 0.2749
24 F 0.9963 0.8740 0.7749



Yb2MgSe4: relaxed, r²SCAN.

Results
Total DFT energy (no corrections)   -296.61 eV/cell
SG   No. 227
Magnetization   0.00 μB per atom
Mass density   6.05 g/cm³

Unit cell a=8.1079 b=8.1079 c=8.1079 alpha=60.00 beta=60.00 gamma=60.00
Atoms (fractional coordinates):
1 Yb 0.0000 0.0000 0.0000
2 Yb 0.0000 0.0000 0.5000
3 Yb 0.0000 0.5000 0.0000
4 Yb 0.5000 0.0000 0.0000
5 Mg 0.3750 0.3750 0.3750
6 Mg 0.6250 0.6250 0.6250
7 Se 0.2338 0.7554 0.7554
8 Se 0.2446 0.2446 0.2446
9 Se 0.2446 0.2446 0.7662
10 Se 0.2446 0.7662 0.2446
11 Se 0.7554 0.2338 0.7554
12 Se 0.7554 0.7554 0.2338
13 Se 0.7554 0.7554 0.7554
14 Se 0.7662 0.2446 0.2446



Ti5Sb3: relaxed, r²SCAN.

Results
Total DFT energy (no corrections)   -584.73 eV/cell
SG   No. 62
Magnetization   0.12 μB per atom
Mass density   6.56 g/cm³

Unit cell a=10.2076 b=8.3371 c=7.1933 alpha=90.00 beta=90.00 gamma=90.00
Atoms (fractional coordinates):
1 Ti 0.0045 0.2500 0.0219
2 Ti 0.0552 0.0626 0.7061
3 Ti 0.0552 0.4374 0.7061
4 Ti 0.2178 0.7500 0.3249
5 Ti 0.2346 0.2500 0.3187
6 Ti 0.2654 0.7500 0.8187
7 Ti 0.2822 0.2500 0.8249
8 Ti 0.4448 0.5626 0.2061
9 Ti 0.4448 0.9374 0.2061
10 Ti 0.4955 0.7500 0.5219
11 Ti 0.5045 0.2500 0.4781
12 Ti 0.5552 0.0626 0.7939
13 Ti 0.5552 0.4374 0.7939
14 Ti 0.7178 0.7500 0.1751
15 Ti 0.7346 0.2500 0.1813
16 Ti 0.7654 0.7500 0.6813
17 Ti 0.7822 0.2500 0.6751
18 Ti 0.9448 0.5626 0.2939
19 Ti 0.9448 0.9374 0.2939
20 Ti 0.9955 0.7500 0.9781
21 Sb 0.0264 0.7500 0.5895
22 Sb 0.1777 0.5083 0.0649
23 Sb 0.1777 0.9917 0.0649
24 Sb 0.3223 0.0083 0.5649
25 Sb 0.3223 0.4917 0.5649
26 Sb 0.4736 0.2500 0.0895
27 Sb 0.5264 0.7500 0.9105
28 Sb 0.6777 0.5083 0.4351
29 Sb 0.6777 0.9917 0.4351
30 Sb 0.8223 0.0083 0.9351
31 Sb 0.8223 0.4917 0.9351
32 Sb 0.9736 0.2500 0.4105